Ce2MgSi2 after structural relaxation, computed with GGA-PBE.

Cell: 7.296 7.296 4.312 Å, 90.00 90.00 90.00°
Fractional coordinates of all 10 atoms:
Ce  0.179  0.321  0.000
Ce  0.321  0.821  0.000
Ce  0.679  0.179  0.000
Ce  0.821  0.679  0.000
Mg  0.000  0.000  0.500
Mg  0.500  0.500  0.500
Si  0.116  0.616  0.500
Si  0.384  0.116  0.500
Si  0.616  0.884  0.500
Si  0.884  0.384  0.500

Calculated values
MP2020-corrected energy: -5.4245 eV/atom
E_tot: -5.45 eV/atom
ΔH_f (0 K): -0.56 eV per atom